(1)
Computed, not measured: crystalline TlPd2Au at its relaxed geometry at the r²SCAN level of DFT.

Lattice parameters (Å, degrees): 4.6172 4.6172 4.6172 60.00 60.00 60.00
Last column: nearest neighbours and their distance in Å.
Positions (direct):
Tl  0.0000  0.0000  0.0000  8 Pd 2.83
Pd  0.2500  0.2500  0.2500  4 Tl 2.83, 4 Au 2.83
Pd  0.7500  0.7500  0.7500  4 Tl 2.83, 4 Au 2.83
Au  0.5000  0.5000  0.5000  8 Pd 2.83

Output
- Space-group type: Fm-3m, No. 225
- DFT formation energy: -0.187 eV/atom
- Size of the total moment: 0.000 μB/cell

(2)
Computed, not measured: crystalline Yb2PdAu at its relaxed geometry at the r²SCAN level of DFT.

Lattice parameters (Å, degrees): 4.9002 4.9002 4.9002 60.00 60.00 60.00
Last column: nearest neighbours and their distance in Å.
Positions (direct):
Yb  0.2500  0.2500  0.2500  4 Au 3.00, 4 Pd 3.00
Yb  0.7500  0.7500  0.7500  4 Pd 3.00, 4 Au 3.00
Pd  0.0000  0.0000  0.0000  8 Yb 3.00
Au  0.5000  0.5000  0.5000  8 Yb 3.00

Output
- Space-group type: Fm-3m, No. 225
- DFT formation energy: -0.989 eV/atom
- Size of the total moment: 0.000 μB/cell

> Number 2 is which compound?

Yb2PdAu